1.
A relaxed Mn2PbN2 crystal. Source: Materials Project, functional GGA-PBE.

Cell: 6.1838 6.1935 8.7313 Å, 90.00 45.09 59.95°
Positions (direct):
Mn  0.7170  0.5000  0.6415
Mn  0.2830  0.5000  0.3585
Mn  0.2830  0.2170  0.8585
Mn  0.7170  0.7830  0.1415
Pb  0.0000  0.0000  0.2500
Pb  0.0000  0.0000  0.7500
N  0.6934  0.5000  0.1533
N  0.3066  0.5000  0.8467
N  0.3066  0.1934  0.3467
N  0.6934  0.8066  0.6533

MP2020-corrected energy in eV per cell: -77.23
Formation enthalpy at 0 K in kJ/mol of formula units: 9
V in Å³ per atom: 16.75
Total moment in μB/cell: 7.73

2.
A relaxed MnPbN2 crystal. Source: Materials Project, functional GGA-PBE.

Cell: 3.5810 3.5810 9.5556 Å, 90.00 90.00 90.00°
Positions (direct):
Mn  0.7500  0.7500  0.5721
Mn  0.2500  0.2500  0.4279
Pb  0.7500  0.7500  0.1437
Pb  0.2500  0.2500  0.8563
N  0.7500  0.2500  0.5000
N  0.2500  0.7500  0.5000
N  0.7500  0.7500  0.7465
N  0.2500  0.2500  0.2535

MP2020-corrected energy in eV per cell: -58.76
Formation enthalpy at 0 K in kJ/mol of formula units: 16
V in Å³ per atom: 15.32
Total moment in μB/cell: 2.51

3.
A relaxed MnPd2N2 crystal. Source: Materials Project, functional GGA-PBE.

Cell: 2.9761 2.8451 7.8055 Å, 90.00 76.65 118.55°
Positions (direct):
Mn  0.0000  0.0000  0.5000
Pd  0.5215  0.2608  0.1495
Pd  0.4785  0.7392  0.8505
N  0.5323  0.2662  0.6401
N  0.4677  0.7338  0.3599

MP2020-corrected energy in eV per cell: -35.63
Formation enthalpy at 0 K in kJ/mol of formula units: 55
V in Å³ per atom: 11.20
Total moment in μB/cell: 2.20